First-principles (PBE) data for a relaxed structure of BeSiP2, as listed in Materials Project.

a b c (Å): 6.2596 6.2596 6.2596
angles (deg): 131.53 131.53 70.98
Fractional positions:
Be 0.0000 0.0000 0.0000
Be 0.7500 0.2500 0.5000
Si 0.5000 0.5000 0.0000
Si 0.2500 0.7500 0.5000
P 0.6400 0.1250 0.0150
P 0.8750 0.8900 0.5150
P 0.3750 0.3600 0.4850
P 0.1100 0.6250 0.9850

- Density: 2444 kg/m³
- Offset from the most stable computed form: 0.000 eV per atom
- Formation energy from the elements: -0.374 eV/atom
- Energy: -5.372 eV/atom
- Space-group type: I-42d
- Largest piezoelectric modulus: 0.1 C/m2